1.
Below is a geometry-optimized Na11Mn24O48 structure, with properties calculated at the PBE with a Hubbard U level.

## Properties
total energy: -559.3 eV for the cell shown
SG: P1 (1)

```
Na11Mn24O48
1.0
6.1900 0.0000 0.0000
-0.8746 12.2929 0.0000
-2.8438 -3.1183 12.8682
Na O Mn
11 48 24
Cartesian
-0.4055 4.6377 7.5401
0.2282 -1.6075 7.5465
-0.1248 1.5404 1.1035
3.0039 1.5002 3.2617
-0.5786 7.6613 0.9689
3.0943 1.4918 11.7243
2.4396 10.7029 5.3655
2.5345 7.6429 11.8520
-0.0859 1.5054 9.6675
2.6803 4.6108 5.3673
2.5613 7.6707 3.1583
-0.5364 9.3374 2.2997
-0.0953 0.2435 6.3504
-0.3816 6.3236 6.1716
0.1502 -0.3523 2.2296
3.2701 -0.3995 10.6317
1.2621 1.4148 4.5220
1.0223 10.6960 0.1271
-0.1531 3.2731 10.9378
-1.6496 4.7126 12.6533
-1.8394 1.4390 8.3748
2.0375 -1.6843 8.7528
-0.0195 -0.2451 10.9614
0.8897 4.7351 4.1069
-0.6963 9.4104 10.8900
1.3914 -1.5683 12.7453
-0.5347 5.9765 2.2832
3.0042 0.2466 6.5446
3.5585 10.9008 0.1269
1.6487 1.5853 8.3689
1.3606 4.6890 8.8021
2.3801 9.4934 1.9310
4.3871 7.6135 4.3620
2.9617 3.2133 1.9603
0.6877 10.6268 4.0460
0.9438 4.7878 12.7085
2.7146 3.4006 10.6631
-0.6837 9.0120 6.1729
3.0006 2.7697 6.5375
-1.5265 -1.6800 8.8115
1.2984 7.5859 8.5358
2.4046 8.9885 6.7010
4.4292 4.7369 4.0684
-0.3446 3.3594 2.3106
-0.3318 5.9403 10.8509
-2.3412 7.7199 8.5323
0.7347 7.7328 4.3607
-0.0886 2.7927 6.3263
2.9857 -0.1803 1.9110
2.7395 6.3231 6.6976
2.7613 5.8504 1.9336
4.2335 10.6204 4.1019
2.5764 5.9845 10.5489
-1.1579 -1.6836 12.7235
4.1837 4.4711 0.1793
-2.2060 4.6760 8.7608
2.5813 9.3216 10.5674
4.7565 1.5813 4.5178
1.5385 4.4362 0.1459
1.2113 4.5948 2.1181
-0.2575 3.1106 4.3246
-0.1364 3.0277 12.8369
-0.4835 6.1829 4.2271
2.5186 9.1154 8.6459
-1.6421 1.5127 6.4466
3.9128 10.7402 2.1099
1.0057 7.6653 6.4713
-1.3692 -1.6402 10.7275
0.8070 10.6991 2.1223
-1.9020 4.6763 10.7188
2.8244 3.1002 8.5919
-2.0634 7.6571 6.4713
0.2004 -3.1144 12.8556
4.3125 4.5971 2.1316
0.0720 -0.0709 4.3178
2.6281 6.1922 8.6365
-0.4363 6.1568 12.7863
-0.5900 9.1489 4.2366
3.1820 -0.0955 8.5778
1.1963 4.6717 10.7180
1.4586 1.5089 6.4474
2.9090 3.0356 0.0241
1.7216 -1.6397 10.7361
```

=====

2.
Below is a geometry-optimized FeP2H24C8S4NClO4 structure, with properties calculated at the PBE with a Hubbard U level.

## Properties
total energy: -472.4 eV for the cell shown
SG: P-1 (2)

```
FeP2H24C8S4NClO4
1.0
7.3608 0.0000 0.0000
-0.0632 8.7959 0.0000
-1.3142 -1.7000 16.7144
O P H C S N Fe Cl
8 4 48 16 8 2 2 2
Cartesian
1.2130 7.0651 8.5472
5.7630 2.1603 0.0460
6.3168 4.1963 1.3027
0.2204 4.9356 16.6684
-0.3334 2.8996 15.4117
4.7704 0.0307 8.1672
4.7642 2.3825 8.3083
1.2192 4.7134 8.4061
0.1390 4.4068 15.1400
1.1549 5.8256 9.5858
5.8444 2.6891 1.5744
4.8285 1.2703 7.1286
5.5545 0.8243 14.1769
-0.0308 4.0653 4.5113
2.1123 7.7061 4.5562
2.6843 1.4679 11.9722
1.1181 7.2624 5.9868
-0.4603 1.4647 12.2522
4.9118 -1.4646 16.1051
3.2991 5.6280 4.7422
5.7673 4.0569 7.5439
3.7547 0.8546 14.0650
3.8711 -0.6102 12.1582
6.0339 6.0856 0.5616
0.3093 7.7169 4.4466
1.3880 2.7512 7.8414
1.4653 1.8444 15.6736
4.6981 2.3927 14.0855
-0.0505 1.0102 16.1529
3.5707 3.0326 12.0112
6.4437 5.6312 4.4622
5.6830 7.3103 7.0971
-0.0888 5.1059 5.9798
2.4127 4.0633 4.7032
4.9645 0.3121 0.6716
4.6871 6.8134 8.5115
5.6741 -0.6210 12.2679
3.9983 3.9970 7.2139
4.8653 -0.1665 10.7276
3.8861 7.3094 6.9773
0.3004 -0.2144 9.6173
2.0972 -0.2135 9.7371
4.5954 4.3447 8.8730
2.2287 6.2412 2.6494
6.0722 1.9900 10.7346
3.2644 -0.8766 15.7103
3.7105 1.9676 10.5697
1.9850 3.0989 9.5005
2.2729 5.1283 6.1447
1.0189 6.7838 16.0428
4.0550 3.0968 16.2329
1.2962 0.2825 8.2029
1.2853 4.7031 2.6289
6.0142 3.0305 12.2031
0.2161 3.0390 9.1705
0.4289 6.2715 2.5375
4.5181 5.2515 1.0408
1.9284 3.9991 0.4815
2.7190 7.9725 1.0041
1.0716 8.5605 0.6094
1.2403 -0.3819 9.0717
6.0396 1.9984 11.8305
3.5949 1.9940 11.6583
0.4874 1.9633 16.1613
1.1994 3.3125 8.7641
1.9396 8.0013 0.2327
1.3001 5.7487 2.9509
1.1822 7.2298 4.8922
4.8012 -0.1340 11.8222
-0.0562 5.0975 4.8839
4.7431 7.4777 7.6427
4.7839 3.7834 7.9503
5.4960 5.1326 0.5531
4.0438 -0.9054 16.4817
4.6833 1.3472 13.7635
2.3885 5.1019 5.0561
-0.5763 5.7583 10.5895
6.5597 1.3376 6.1249
6.0895 5.3202 14.0759
3.2769 1.3549 5.8894
4.0463 2.5729 2.4688
1.9371 4.5230 14.2456
2.7065 5.7410 10.8250
-0.1061 1.7757 2.6385
4.7810 1.3025 12.2660
1.2024 5.7934 4.4484
5.1824 1.0718 4.0676
0.8010 6.0240 12.6468
4.8184 7.6235 3.4588
1.1650 -0.5276 13.2556
```

=====

3.
Below is a geometry-optimized LiFe8O8F8 structure, with properties calculated at the PBE with a Hubbard U level.

## Properties
energy relative to the lowest polymorph listed for this composition: 0.016 eV/atom
total energy: -148.3 eV for the cell shown
SG: P1 (1)

```
LiFe8O8F8
1.0
4.9487 -0.0239 -0.0392
-0.0237 4.9035 0.0168
-0.0993 0.0441 12.0967
Fe F O Li
8 8 8 1
Cartesian
0.2506 0.1592 9.0286
2.2085 2.6452 10.5616
0.1427 0.2589 3.0636
2.2337 2.6239 7.5391
2.1807 2.6609 4.5170
2.7279 2.2790 1.5663
4.6785 4.7012 11.9882
4.7080 4.5861 6.0165
0.9727 3.9090 1.5071
3.9648 0.9108 7.5290
3.3122 3.4930 9.0562
1.3673 1.5392 6.0519
1.4931 1.3392 12.0127
3.9653 0.9708 4.5494
3.3952 3.5247 3.1321
3.9807 0.9843 10.4900
4.0994 0.7617 1.4078
3.2220 3.4357 12.0278
3.2413 3.3357 6.0427
0.8339 3.9909 7.5596
1.5572 1.5399 3.0586
0.7998 4.0173 4.5264
1.5429 1.5913 9.0589
0.8045 3.9862 10.5853
2.4527 4.8012 0.9151
```

=====

4.
Below is a geometry-optimized Li3VSi6O15 structure, with properties calculated at the PBE with a Hubbard U level.

## Properties
energy relative to the lowest polymorph listed for this composition: 0.007 eV/atom
total energy: -740.4 eV for the cell shown
SG: Pnma (62)

```
Li3VSi6O15
1.0
7.9062 0.0000 0.0000
0.0000 9.9078 0.0000
0.0000 0.0000 15.0029
O Li Si V
60 12 24 4
Cartesian
7.2344 8.6038 13.4211
1.9766 5.6472 4.7523
1.9766 3.6666 1.5352
1.9766 1.2873 9.0367
3.7765 6.5802 14.9889
3.3911 6.4674 2.5659
7.4423 3.4183 2.7008
3.3911 8.3943 10.0674
4.6159 8.6064 1.5856
3.2903 1.3015 13.4174
7.3442 3.4404 12.4370
5.9297 0.6932 2.7492
4.4170 1.5356 10.2022
7.2434 8.6064 1.5856
1.9766 9.2402 2.7402
4.1297 3.3277 0.0140
3.7765 8.2816 7.4875
5.9297 0.6677 12.2627
0.1766 8.2816 7.4875
7.7296 3.3277 0.0140
7.3442 1.5135 4.9356
0.6628 3.6524 5.9159
1.9766 3.5875 13.3991
7.2434 6.2554 9.0870
4.6249 8.6038 13.4211
5.9297 4.5050 7.5044
1.9766 5.4028 7.4985
1.9766 9.4589 15.0000
0.1766 6.5802 14.9889
0.4639 8.3722 4.8007
0.5620 6.4674 2.5659
4.6159 6.2554 9.0870
4.1297 1.6263 7.5155
1.9766 5.6216 10.2417
3.4892 6.4895 12.3022
5.9297 4.2607 10.2507
0.4639 6.4895 12.3022
3.2903 3.6524 5.9159
4.5151 3.4404 12.4370
0.6628 1.3015 13.4174
3.2813 3.6499 9.0833
5.9297 8.5414 9.1053
5.9297 6.2412 13.4677
5.9297 4.2862 4.7612
4.6249 6.2580 5.9197
3.2813 1.3040 1.5818
7.7296 1.6263 7.5155
0.6718 1.3040 1.5818
5.9297 6.3204 1.6038
1.9766 9.2146 12.2537
7.2344 6.2580 5.9197
5.9297 0.4489 0.0029
4.5151 1.5135 4.9356
0.6718 3.6499 9.0833
0.5620 8.3943 10.0674
7.4423 1.5356 10.2022
3.4892 8.3722 4.8007
1.9766 1.3665 5.8976
4.4170 3.4183 2.7008
5.9297 8.6205 5.9662
7.8908 9.8806 11.3540
3.9685 9.8806 11.3540
1.9766 5.7307 0.9508
0.0154 0.0273 3.6490
5.9297 4.1772 14.0521
3.9685 4.9812 3.8525
1.9766 9.1311 8.4523
5.9297 0.7768 6.5506
7.8908 4.9812 3.8525
3.9377 4.9266 11.1504
3.9377 0.0273 3.6490
0.0154 4.9266 11.1504
4.4111 7.0061 1.4778
5.9297 9.6292 13.5257
7.4482 7.8557 8.9793
5.9297 5.2325 6.0243
3.4827 2.9305 1.5065
0.4580 2.0521 6.0236
4.4111 7.8557 8.9793
5.9297 5.2262 8.9786
3.4951 2.9018 13.5251
7.4358 6.9774 13.4964
4.4235 7.8844 5.9950
1.9766 4.6753 8.9786
1.9766 4.6817 6.0243
0.4704 2.0235 9.0079
0.4580 2.9018 13.5251
3.4951 2.0521 6.0236
3.4827 2.0235 9.0079
0.4704 2.9305 1.5065
7.4358 7.8844 5.9950
1.9766 0.2786 1.4772
4.4235 6.9774 13.4964
7.4482 7.0061 1.4778
5.9297 9.6356 1.4771
1.9766 0.2722 13.5258
1.9766 7.4020 11.2632
1.9766 7.4598 3.7618
5.9297 2.5058 3.7397
5.9297 2.4481 11.2411
```

=====

5.
Below is a geometry-optimized MgCo6Ag2P6H4O24 structure, with properties calculated at the PBE with a Hubbard U level.

## Properties
energy relative to the lowest polymorph listed for this composition: 0.029 eV/atom
total energy: -270.7 eV for the cell shown
SG: P1 (1)

```
MgCo6Ag2P6H4O24
1.0
6.2224 0.0204 -1.9013
-2.4724 8.5710 0.1988
0.0911 0.3941 9.0402
O Co H P Ag Mg
24 6 4 6 2 1
Cartesian
0.3418 6.9778 3.5413
-0.4936 2.5821 6.9029
1.6127 7.8761 5.5766
0.7124 5.1317 7.7399
-0.4891 4.5533 1.4585
4.0850 6.8321 0.7023
4.7783 2.2951 -1.0069
-0.8421 6.1820 5.9960
3.2252 4.1352 -0.2383
4.8375 3.0611 1.4153
-0.6176 7.1762 8.3808
3.5784 1.4163 3.3473
1.6354 6.1900 0.9748
0.9200 0.6209 7.0085
2.0956 5.5182 4.6948
2.8023 7.6772 3.4316
1.2669 2.0718 -0.3152
1.1276 0.8804 3.8134
2.2306 8.5725 0.3152
2.0753 0.5166 1.4818
2.7777 7.0918 7.6966
1.9593 2.8919 6.2842
1.7690 2.9023 2.3812
4.4388 4.9897 6.0904
5.2510 1.0245 1.8836
1.3371 3.9883 0.6075
3.9435 3.0141 6.1102
-0.3069 6.7051 1.5772
-1.5063 7.4574 4.5297
2.5646 5.0342 6.8332
2.1982 7.5486 6.9879
1.7470 1.0734 0.6627
-0.9828 8.0403 7.9083
4.7637 1.3532 -0.5819
-0.6303 5.8368 7.4764
4.6327 3.5711 -0.0322
2.6349 7.0977 0.2133
1.6850 6.9619 4.3051
0.9865 2.1566 7.2700
2.1423 1.4567 2.7875
3.6784 4.3762 3.2260
0.3914 3.9053 4.5175
5.1251 0.7588 4.5081
```

=====

6.
Below is a geometry-optimized K4Li3Fe2O8 structure, with properties calculated at the PBE with a Hubbard U level.

## Properties
total energy: -170.0 eV for the cell shown
SG: P1 (1)

```
K4Li3Fe2O8
1.0
5.5780 0.0000 0.0000
0.4682 8.7751 0.0000
1.8424 0.3519 10.6149
K O Li Fe
8 16 6 4
Cartesian
3.1289 4.6897 3.5273
6.0628 6.3472 4.0605
3.6671 7.0712 9.2218
4.0822 2.2320 1.2491
1.7763 8.5088 1.6607
4.9519 4.3489 6.9838
5.8875 0.6612 9.0902
2.1136 2.1473 6.5656
5.5137 3.5895 4.2825
4.0134 4.2023 9.4642
3.0842 1.9698 3.7174
0.8354 6.0552 1.3584
3.4073 1.1716 9.7737
2.1208 8.2816 6.7919
2.3711 5.7014 6.3649
3.4480 7.3033 4.2332
4.9232 1.7705 6.3652
6.4060 6.6987 9.4429
4.5018 8.1097 1.2470
3.8065 4.9183 1.0598
4.9307 7.1427 6.5251
1.2388 2.6066 1.1777
7.0337 3.2048 9.2712
5.5452 0.5529 3.9349
5.9849 8.7443 5.8727
6.6632 6.7799 7.5356
1.2331 2.2328 3.2321
5.9650 4.7608 9.8186
4.3513 8.6852 3.1779
1.8651 4.5567 0.7582
3.2379 7.1800 5.9625
4.6720 2.0247 4.6137
3.0096 2.8422 10.0064
4.7784 6.4033 0.6937
```

=====

7.
Below is a geometry-optimized Ti3NbCo2P6O24 structure, with properties calculated at the PBE with a Hubbard U level.

## Properties
total energy: -278.8 eV for the cell shown
SG: R3 (146)

```
Ti3NbCo2P6O24
1.0
-7.2650 -1.3188 4.3972
-4.3320 -7.3105 -1.2827
-0.0385 -5.9222 6.2274
Co O Nb P Ti
2 24 1 6 3
Cartesian
-5.7975 -7.2504 4.6547
-0.0599 -0.0749 0.0481
-6.6512 -10.9051 6.7957
-8.8340 -10.3031 5.0146
-1.3924 -2.4882 3.1868
-3.6309 -7.0191 4.1298
-10.0239 -7.1361 3.8048
-4.9768 -3.6755 2.5196
-5.9508 -4.7418 7.3885
-4.8047 -11.3475 3.7454
-7.9836 -7.5105 5.2445
-5.7633 -6.2711 2.6391
-5.7437 -7.2446 8.9669
-1.6446 -3.8853 0.6964
-8.5859 -8.8956 7.5160
-7.9786 -6.7812 1.6861
-5.3081 -5.0967 5.0354
-1.5975 -7.4053 5.5830
-3.0294 -5.6557 1.8606
-5.8719 -7.3455 0.3522
-3.5665 -1.8849 1.4186
-2.7252 -9.3056 4.2972
-6.3555 -9.4289 4.2841
-6.8741 -3.1873 5.5810
-5.8442 -8.3020 6.6762
-2.8360 -4.2283 4.3249
-10.0033 -12.5104 8.0315
-5.6408 -3.9909 6.0710
-6.5501 -6.3246 1.3034
-6.0367 -10.5209 3.2260
-5.0322 -8.2593 7.9999
-2.3069 -7.8157 4.2657
-9.2988 -6.6921 5.1269
-1.6320 -2.0411 1.3103
-4.1867 -5.2360 3.3615
-7.4669 -9.3383 5.9951
```